No. 1
BaCaSmNbO6: relaxed, PBE.

Unit cell a=5.938 b=6.013 c=8.478 alpha=90.57 beta=90.54 gamma=90.06
Sites, in units of the cell vectors:
Ba 0.005 0.032 0.251
Ba 0.995 0.968 0.749
Ca 0.491 0.541 0.254
Ca 0.509 0.459 0.746
Sm 0.000 0.500 0.500
Sm 0.500 0.000 0.000
Nb 0.000 0.500 0.000
Nb 0.500 0.000 0.500
O 0.107 0.500 0.769
O 0.194 0.771 0.039
O 0.226 0.807 0.471
O 0.274 0.311 0.061
O 0.319 0.282 0.444
O 0.434 0.059 0.732
O 0.566 0.941 0.268
O 0.681 0.718 0.556
O 0.726 0.689 0.939
O 0.774 0.193 0.529
O 0.806 0.229 0.961
O 0.893 0.500 0.231

Properties
symmetry	P-1, No. 2
corrected total energy (MP2020 scheme)	-164.4	eV/cell
ΔH_f (0 K)	-3379	meV per atom
crystal system	triclinic

No. 2
Na2CdSi2O6: relaxed, PBE.

Unit cell a=10.547 b=7.557 c=10.662 alpha=90.00 beta=90.00 gamma=90.00
Sites, in units of the cell vectors:
Na 0.000 0.005 0.000
Na 0.000 0.228 0.764
Na 0.226 0.783 0.010
Na 0.244 0.733 0.483
Na 0.256 0.267 0.983
Na 0.274 0.217 0.510
Na 0.500 0.772 0.264
Na 0.500 0.995 0.500
Na 0.726 0.217 0.510
Na 0.744 0.267 0.983
Na 0.756 0.733 0.483
Na 0.774 0.783 0.010
Cd 0.000 0.235 0.237
Cd 0.000 0.482 0.494
Cd 0.000 0.751 0.244
Cd 0.500 0.249 0.744
Cd 0.500 0.518 0.994
Cd 0.500 0.765 0.737
Si 0.000 0.001 0.527
Si 0.000 0.502 0.963
Si 0.222 0.532 0.750
Si 0.222 0.966 0.735
Si 0.278 0.034 0.235
Si 0.278 0.468 0.250
Si 0.500 0.498 0.463
Si 0.500 0.999 0.027
Si 0.722 0.034 0.235
Si 0.722 0.468 0.250
Si 0.778 0.532 0.750
Si 0.778 0.966 0.735
O 0.000 0.177 0.437
O 0.000 0.320 0.043
O 0.000 0.692 0.030
O 0.000 0.805 0.463
O 0.125 0.028 0.619
O 0.125 0.481 0.868
O 0.137 0.520 0.302
O 0.137 0.979 0.188
O 0.171 0.040 0.867
O 0.172 0.443 0.621
O 0.218 0.747 0.730
O 0.282 0.253 0.230
O 0.328 0.557 0.121
O 0.329 0.960 0.367
O 0.363 0.021 0.688
O 0.363 0.480 0.802
O 0.375 0.519 0.368
O 0.375 0.972 0.119
O 0.500 0.195 0.963
O 0.500 0.308 0.530
O 0.500 0.680 0.543
O 0.500 0.823 0.937
O 0.625 0.519 0.368
O 0.625 0.972 0.119
O 0.637 0.021 0.688
O 0.637 0.480 0.802
O 0.671 0.960 0.367
O 0.672 0.557 0.121
O 0.718 0.253 0.230
O 0.782 0.747 0.730
O 0.828 0.443 0.621
O 0.829 0.040 0.867
O 0.863 0.520 0.302
O 0.863 0.979 0.188
O 0.875 0.028 0.619
O 0.875 0.481 0.868

Properties
symmetry	Pmn2_1, No. 31
corrected total energy (MP2020 scheme)	-437.7	eV/cell
ΔH_f (0 K)	-2623	meV per atom
crystal system	orthorhombic

No. 3
CaP2Pd2: relaxed, PBE.

Unit cell a=5.709 b=5.709 c=5.709 alpha=137.13 beta=137.13 gamma=62.23
Sites, in units of the cell vectors:
Ca 0.000 0.000 0.000
P 0.388 0.388 0.000
P 0.612 0.612 0.000
Pd 0.250 0.750 0.500
Pd 0.750 0.250 0.500

Properties
symmetry	I4/mmm, No. 139
ΔH_f (0 K)	-848	meV per atom
crystal system	tetragonal